The following is a GGA+U calculation of a geometry-optimized Li3Cr4P6O24 structure, from Materials Project.

## Properties
Energy above the lowest structure with this stoichiometry (eV per atom): 0.0502
Final energy (eV per cell): -262.2
Energy relative to the elements (meV/atom): -2463

Cell lengths 8.565, 8.565, 6.320 Å; angles 75.00, 75.00, 92.44 degrees
Sites, in units of the cell vectors:
P  0.728  0.272  0.000
P  0.349  0.157  0.601
P  0.652  0.843  0.893
P  0.157  0.348  0.107
P  0.273  0.727  0.500
P  0.843  0.651  0.399
O  0.827  0.833  0.385
O  0.246  0.855  0.291
O  0.550  0.681  0.950
O  0.751  0.150  0.214
O  0.643  0.971  0.671
O  0.587  0.932  0.085
O  0.835  0.822  0.861
O  0.418  0.067  0.411
O  0.850  0.249  0.786
O  0.446  0.749  0.529
O  0.933  0.582  0.589
O  0.145  0.754  0.709
O  0.448  0.319  0.551
O  0.167  0.173  0.615
O  0.178  0.165  0.139
O  0.553  0.251  0.972
O  0.251  0.554  0.471
O  0.068  0.413  0.915
O  0.029  0.357  0.329
O  0.319  0.450  0.050
O  0.968  0.643  0.173
O  0.749  0.447  0.028
O  0.681  0.552  0.449
O  0.357  0.032  0.827
Cr  0.059  0.380  0.610
Cr  0.383  0.059  0.106
Cr  0.620  0.941  0.390
Cr  0.941  0.617  0.894
Li  0.499  0.502  0.750
Li  0.498  0.501  0.250
Li  0.018  0.982  0.500